# MgCoRe2O8

A relaxed MgCoRe2O8 crystal (GGA+U, the Materials Project database).

Cell lengths 5.6148, 5.8349, 5.8469 Å; angles 60.33, 89.17, 89.89 degrees
Fractional coordinates of all 12 atoms:
1 Mg 0.0000 0.0000 0.0000
2 Co 0.5000 0.0000 0.0000
3 Re 0.1785 0.3351 0.3321
4 Re 0.8215 0.6649 0.6679
5 O 0.1316 0.6644 0.6624
6 O 0.2531 0.1630 0.1544
7 O 0.2558 0.1595 0.6763
8 O 0.2570 0.6821 0.1529
9 O 0.7430 0.3179 0.8471
10 O 0.7442 0.8405 0.3237
11 O 0.7469 0.8370 0.8456
12 O 0.8684 0.3356 0.3376

Summary:
Formation energy   -1.94 eV/atom
ρ   5.82 Mg/m³

---

# Ba6Ni5O15

A relaxed Ba6Ni5O15 crystal (GGA+U, the Materials Project database).

Cell lengths 7.2136, 7.2136, 7.2136 Å; angles 88.27, 88.27, 88.27 degrees
Fractional coordinates of all 26 atoms:
1 Ba 0.0000 0.3364 0.6636
2 Ba 0.1488 0.8512 0.5000
3 Ba 0.3364 0.6636 0.0000
4 Ba 0.5000 0.1488 0.8512
5 Ba 0.6636 0.0000 0.3364
6 Ba 0.8512 0.5000 0.1488
7 Ni 0.0950 0.0950 0.0950
8 Ni 0.2900 0.2900 0.2900
9 Ni 0.5000 0.5000 0.5000
10 Ni 0.7100 0.7100 0.7100
11 Ni 0.9050 0.9050 0.9050
12 O 0.0000 0.8566 0.1434
13 O 0.0368 0.1927 0.3290
14 O 0.1434 0.0000 0.8566
15 O 0.1927 0.3290 0.0368
16 O 0.2337 0.5287 0.3656
17 O 0.3290 0.0368 0.1927
18 O 0.3656 0.2337 0.5287
19 O 0.4713 0.7663 0.6344
20 O 0.5287 0.3656 0.2337
21 O 0.6344 0.4713 0.7663
22 O 0.6710 0.8073 0.9632
23 O 0.7663 0.6344 0.4713
24 O 0.8073 0.9632 0.6710
25 O 0.8566 0.1434 0.0000
26 O 0.9632 0.6710 0.8073

Summary:
Formation energy   -1.93 eV/atom
ρ   6.01 Mg/m³

---

# CaMoO

A relaxed CaMoO crystal (GGA+U, the Materials Project database).

Cell lengths 3.3677, 5.5875, 11.3631 Å; angles 90.44, 90.03, 90.00 degrees
Fractional coordinates of all 12 atoms:
1 Ca 0.0000 0.0000 0.0000
2 Ca 0.0011 0.5016 0.1870
3 Ca 0.5072 0.5341 0.5031
4 Ca 0.5088 0.0379 0.6914
5 Mo 0.0052 0.0315 0.4463
6 Mo 0.0046 0.5362 0.7462
7 Mo 0.5024 0.0035 0.2445
8 Mo 0.5026 0.5010 0.9442
9 O 0.0093 0.2840 0.5961
10 O 0.0106 0.7859 0.5975
11 O 0.5007 0.2510 0.0933
12 O 0.5008 0.7526 0.0942

Summary:
Formation energy   -0.92 eV/atom
ρ   4.72 Mg/m³

---

# NiH16C4N10O2

A relaxed NiH16C4N10O2 crystal (GGA+U, the Materials Project database).

Cell lengths 7.2504, 7.3849, 22.9115 Å; angles 90.00, 90.00, 90.00 degrees
Fractional coordinates of all 132 atoms:
1 Ni 0.0000 0.0000 0.0000
2 Ni 0.0000 0.5000 0.5000
3 Ni 0.5000 0.0000 0.5000
4 Ni 0.5000 0.5000 0.0000
5 H 0.0884 0.0280 0.3614
6 H 0.0884 0.4720 0.8614
7 H 0.1007 0.2118 0.7969
8 H 0.1007 0.2882 0.2969
9 H 0.1228 0.6660 0.9964
10 H 0.1228 0.8340 0.4964
11 H 0.1329 0.0413 0.2159
12 H 0.1329 0.4587 0.7159
13 H 0.1476 0.6822 0.5870
14 H 0.1476 0.8178 0.0870
15 H 0.1538 0.0556 0.4332
16 H 0.1538 0.4444 0.9332
17 H 0.1995 0.7098 0.3098
18 H 0.1995 0.7902 0.8098
19 H 0.2083 0.6448 0.6792
20 H 0.2083 0.8552 0.1792
21 H 0.2917 0.1448 0.6792
22 H 0.2917 0.3552 0.1792
23 H 0.3005 0.2098 0.3098
24 H 0.3005 0.2902 0.8098
25 H 0.3462 0.5556 0.4332
26 H 0.3462 0.9444 0.9332
27 H 0.3524 0.1822 0.5870
28 H 0.3524 0.3178 0.0870
29 H 0.3671 0.5413 0.2159
30 H 0.3671 0.9587 0.7159
31 H 0.3772 0.1660 0.9964
32 H 0.3772 0.3340 0.4964
33 H 0.3993 0.7118 0.7969
34 H 0.3993 0.7882 0.2969
35 H 0.4116 0.5280 0.3614
36 H 0.4116 0.9720 0.8614
37 H 0.5884 0.0280 0.1386
38 H 0.5884 0.4720 0.6386
39 H 0.6007 0.2118 0.7031
40 H 0.6007 0.2882 0.2031
41 H 0.6228 0.6660 0.5036
42 H 0.6228 0.8340 0.0036
43 H 0.6329 0.0413 0.2841
44 H 0.6329 0.4587 0.7841
45 H 0.6476 0.6822 0.9130
46 H 0.6476 0.8178 0.4130
47 H 0.6538 0.0556 0.0668
48 H 0.6538 0.4444 0.5668
49 H 0.6995 0.7098 0.1902
50 H 0.6995 0.7902 0.6902
51 H 0.7083 0.6448 0.8208
52 H 0.7083 0.8552 0.3208
53 H 0.7917 0.1448 0.8208
54 H 0.7917 0.3552 0.3208
55 H 0.8005 0.2098 0.1902
56 H 0.8005 0.2902 0.6902
57 H 0.8462 0.5556 0.0668
58 H 0.8462 0.9444 0.5668
59 H 0.8524 0.1822 0.9130
60 H 0.8524 0.3178 0.4130
61 H 0.8671 0.5413 0.2841
62 H 0.8671 0.9587 0.7841
63 H 0.8772 0.1660 0.5036
64 H 0.8772 0.3340 0.0036
65 H 0.8993 0.7118 0.7031
66 H 0.8993 0.7882 0.2031
67 H 0.9116 0.5280 0.1386
68 H 0.9116 0.9720 0.6386
69 C 0.0492 0.6959 0.9143
70 C 0.0492 0.8041 0.4143
71 C 0.0706 0.0365 0.1282
72 C 0.0706 0.4635 0.6282
73 C 0.4294 0.5365 0.1282
74 C 0.4294 0.9635 0.6282
75 C 0.4508 0.1959 0.9143
76 C 0.4508 0.3041 0.4143
77 C 0.5492 0.6959 0.5857
78 C 0.5492 0.8041 0.0857
79 C 0.5706 0.0365 0.3718
80 C 0.5706 0.4635 0.8718
81 C 0.9294 0.5365 0.3718
82 C 0.9294 0.9635 0.8718
83 C 0.9508 0.1959 0.5857
84 C 0.9508 0.3041 0.0857
85 N 0.0079 0.2086 0.1329
86 N 0.0079 0.2914 0.6329
87 N 0.0773 0.7374 0.4679
88 N 0.0773 0.7626 0.9679
89 N 0.0776 0.5155 0.9038
90 N 0.0776 0.9845 0.4038
91 N 0.0924 0.5569 0.5793
92 N 0.0924 0.9431 0.0793
93 N 0.1104 0.5453 0.6816
94 N 0.1104 0.9547 0.1816
95 N 0.3896 0.0453 0.6816
96 N 0.3896 0.4547 0.1816
97 N 0.4076 0.0569 0.5793
98 N 0.4076 0.4431 0.0793
99 N 0.4224 0.0155 0.9038
100 N 0.4224 0.4845 0.4038
101 N 0.4227 0.2374 0.4679
102 N 0.4227 0.2626 0.9679
103 N 0.4921 0.7086 0.1329
104 N 0.4921 0.7914 0.6329
105 N 0.5079 0.2086 0.3671
106 N 0.5079 0.2914 0.8671
107 N 0.5773 0.7374 0.0321
108 N 0.5773 0.7626 0.5321
109 N 0.5776 0.5155 0.5962
110 N 0.5776 0.9845 0.0962
111 N 0.5924 0.5569 0.9207
112 N 0.5924 0.9431 0.4207
113 N 0.6104 0.5453 0.8184
114 N 0.6104 0.9547 0.3184
115 N 0.8896 0.0453 0.8184
116 N 0.8896 0.4547 0.3184
117 N 0.9076 0.0569 0.9207
118 N 0.9076 0.4431 0.4207
119 N 0.9224 0.0155 0.5962
120 N 0.9224 0.4845 0.0962
121 N 0.9227 0.2374 0.0321
122 N 0.9227 0.2626 0.5321
123 N 0.9921 0.7086 0.3671
124 N 0.9921 0.7914 0.8671
125 O 0.1812 0.1819 0.2904
126 O 0.1812 0.3181 0.7904
127 O 0.3188 0.6819 0.2904
128 O 0.3188 0.8181 0.7904
129 O 0.6812 0.1819 0.2096
130 O 0.6812 0.3181 0.7096
131 O 0.8188 0.6819 0.2096
132 O 0.8188 0.8181 0.7096

Summary:
Formation energy   -0.35 eV/atom
ρ   1.60 Mg/m³